Record 1
{
  "formula": "Cr2Ir2C",
  "functional": "PBE",
  "state": "relaxed",
  "cell": [[1.375, 0.794, 8.816], [-1.375, 0.794, 8.816], [0.000, -1.588, 8.816]],
  "species": ["Cr", "Cr", "Ir", "Ir", "C"],
  "fractional_positions": [[0.123, 0.123, 0.123], [0.877, 0.877, 0.877], [0.378, 0.378, 0.378], [0.622, 0.622, 0.622], [0.500, 0.500, 0.500]],
  "e_form_ev_per_atom": -0.17,
  "total_energy_ev_per_atom": -9.416
}

Record 2
{
  "formula": "PmMg16Al12",
  "functional": "PBE",
  "state": "relaxed",
  "cell": [[-5.285, 5.285, 5.285], [5.285, -5.285, 5.285], [5.285, 5.285, -5.285]],
  "species": ["Pm", "Mg", "Mg", "Mg", "Mg", "Mg", "Mg", "Mg", "Mg", "Mg", "Mg", "Mg", "Mg", "Mg", "Mg", "Mg", "Mg", "Al", "Al", "Al", "Al", "Al", "Al", "Al", "Al", "Al", "Al", "Al", "Al"],
  "fractional_positions": [[0.000, 0.000, 0.000], [0.000, 0.000, 0.639], [0.000, 0.397, 0.681], [0.000, 0.639, 0.000], [0.000, 0.681, 0.397], [0.283, 0.603, 0.603], [0.319, 0.319, 0.717], [0.319, 0.717, 0.319], [0.361, 0.361, 0.361], [0.397, 0.000, 0.681], [0.397, 0.681, 0.000], [0.603, 0.283, 0.603], [0.603, 0.603, 0.283], [0.639, 0.000, 0.000], [0.681, 0.000, 0.397], [0.681, 0.397, 0.000], [0.717, 0.319, 0.319], [0.000, 0.187, 0.370], [0.000, 0.370, 0.187], [0.183, 0.813, 0.813], [0.187, 0.000, 0.370], [0.187, 0.370, 0.000], [0.370, 0.000, 0.187], [0.370, 0.187, 0.000], [0.630, 0.630, 0.817], [0.630, 0.817, 0.630], [0.813, 0.183, 0.813], [0.813, 0.813, 0.183], [0.817, 0.630, 0.630]],
  "e_form_ev_per_atom": -0.07,
  "magnetic_moment_mub_per_cell": 0.0,
  "total_energy_ev_per_atom": -2.667
}

Record 3
{
  "formula": "Er20Cu6Pb9S42",
  "functional": "PBE",
  "state": "relaxed",
  "cell": [[8.783, 0.000, 0.000], [-2.927, 14.022, 0.000], [-4.024, -4.173, 14.427]],
  "species": ["Er", "Er", "Er", "Er", "Er", "Er", "Er", "Er", "Er", "Er", "Er", "Er", "Er", "Er", "Er", "Er", "Er", "Er", "Er", "Er", "Cu", "Cu", "Cu", "Cu", "Cu", "Cu", "Pb", "Pb", "Pb", "Pb", "Pb", "Pb", "Pb", "Pb", "Pb", "S", "S", "S", "S", "S", "S", "S", "S", "S", "S", "S", "S", "S", "S", "S", "S", "S", "S", "S", "S", "S", "S", "S", "S", "S", "S", "S", "S", "S", "S", "S", "S", "S", "S", "S", "S", "S", "S", "S", "S", "S", "S"],
  "fractional_positions": [[0.000, 0.000, 0.000], [0.028, 0.788, 0.189], [0.058, 0.545, 0.396], [0.142, 0.244, 0.466], [0.167, 0.835, 0.831], [0.196, 0.617, 0.022], [0.226, 0.378, 0.232], [0.328, 0.666, 0.660], [0.358, 0.444, 0.854], [0.397, 0.211, 0.066], [0.454, 0.928, 0.151], [0.496, 0.502, 0.494], [0.530, 0.279, 0.691], [0.565, 0.048, 0.900], [0.654, 0.325, 0.329], [0.682, 0.115, 0.514], [0.730, 0.882, 0.731], [0.837, 0.166, 0.166], [0.870, 0.952, 0.356], [0.896, 0.714, 0.564], [0.009, 0.765, 0.393], [0.175, 0.600, 0.225], [0.342, 0.429, 0.060], [0.508, 0.262, 0.891], [0.672, 0.096, 0.725], [0.842, 0.932, 0.558], [0.103, 0.151, 0.738], [0.268, 0.985, 0.570], [0.435, 0.819, 0.404], [0.609, 0.654, 0.241], [0.619, 0.752, 0.969], [0.773, 0.485, 0.074], [0.782, 0.583, 0.801], [0.941, 0.317, 0.910], [0.953, 0.417, 0.635], [0.008, 0.899, 0.683], [0.055, 0.655, 0.708], [0.071, 0.483, 0.855], [0.105, 0.195, 0.104], [0.109, 0.462, 0.095], [0.155, 0.939, 0.135], [0.156, 0.902, 0.368], [0.172, 0.728, 0.517], [0.216, 0.479, 0.536], [0.235, 0.314, 0.679], [0.273, 0.292, 0.927], [0.276, 0.027, 0.942], [0.319, 0.784, 0.982], [0.323, 0.743, 0.200], [0.338, 0.565, 0.349], [0.376, 0.318, 0.379], [0.395, 0.155, 0.519], [0.438, 0.125, 0.761], [0.447, 0.858, 0.778], [0.465, 0.600, 0.799], [0.487, 0.569, 0.033], [0.505, 0.394, 0.187], [0.551, 0.142, 0.203], [0.571, 0.981, 0.345], [0.606, 0.963, 0.590], [0.612, 0.693, 0.611], [0.636, 0.433, 0.631], [0.654, 0.404, 0.868], [0.675, 0.231, 0.018], [0.714, 0.985, 0.045], [0.729, 0.823, 0.186], [0.774, 0.794, 0.427], [0.775, 0.522, 0.443], [0.819, 0.235, 0.696], [0.834, 0.267, 0.465], [0.841, 0.065, 0.851], [0.888, 0.822, 0.872], [0.906, 0.651, 0.022], [0.937, 0.359, 0.275], [0.939, 0.628, 0.259], [0.987, 0.076, 0.532], [0.988, 0.110, 0.308]],
  "e_form_ev_per_atom": -1.76,
  "magnetic_moment_mub_per_cell": 0.0,
  "total_energy_ev_per_atom": -5.679
}

Record 4
{
  "formula": "LiCu2S3O12",
  "functional": "PBE",
  "state": "relaxed",
  "cell": [[8.381, 0.000, 0.000], [0.000, 8.657, 0.000], [-8.066, 0.000, 12.184]],
  "species": ["Li", "Li", "Li", "Li", "Cu", "Cu", "Cu", "Cu", "Cu", "Cu", "Cu", "Cu", "S", "S", "S", "S", "S", "S", "S", "S", "S", "S", "S", "S", "O", "O", "O", "O", "O", "O", "O", "O", "O", "O", "O", "O", "O", "O", "O", "O", "O", "O", "O", "O", "O", "O", "O", "O", "O", "O", "O", "O", "O", "O", "O", "O", "O", "O", "O", "O", "O", "O", "O", "O", "O", "O", "O", "O", "O", "O", "O", "O"],
  "fractional_positions": [[0.131, 0.218, 0.319], [0.131, 0.282, 0.819], [0.869, 0.718, 0.181], [0.869, 0.782, 0.681], [0.146, 0.539, 0.395], [0.146, 0.961, 0.895], [0.366, 0.535, 0.115], [0.366, 0.965, 0.615], [0.634, 0.035, 0.385], [0.634, 0.465, 0.885], [0.854, 0.039, 0.105], [0.854, 0.461, 0.605], [0.027, 0.248, 0.494], [0.027, 0.252, 0.994], [0.251, 0.612, 0.858], [0.251, 0.888, 0.358], [0.448, 0.116, 0.846], [0.448, 0.384, 0.346], [0.552, 0.616, 0.654], [0.552, 0.884, 0.154], [0.749, 0.112, 0.642], [0.749, 0.388, 0.142], [0.973, 0.748, 0.006], [0.973, 0.752, 0.506], [0.015, 0.129, 0.061], [0.015, 0.371, 0.561], [0.118, 0.183, 0.939], [0.118, 0.317, 0.439], [0.140, 0.007, 0.274], [0.140, 0.493, 0.774], [0.144, 0.737, 0.315], [0.144, 0.763, 0.815], [0.152, 0.127, 0.572], [0.152, 0.373, 0.072], [0.163, 0.691, 0.097], [0.163, 0.809, 0.597], [0.251, 0.081, 0.822], [0.251, 0.419, 0.322], [0.254, 0.565, 0.957], [0.254, 0.935, 0.457], [0.406, 0.582, 0.539], [0.406, 0.918, 0.039], [0.437, 0.214, 0.324], [0.437, 0.286, 0.824], [0.445, 0.631, 0.881], [0.445, 0.869, 0.381], [0.482, 0.022, 0.774], [0.482, 0.478, 0.274], [0.518, 0.522, 0.726], [0.518, 0.978, 0.226], [0.555, 0.131, 0.619], [0.555, 0.369, 0.119], [0.563, 0.714, 0.176], [0.563, 0.786, 0.676], [0.594, 0.082, 0.961], [0.594, 0.418, 0.461], [0.746, 0.065, 0.543], [0.746, 0.435, 0.043], [0.749, 0.581, 0.678], [0.749, 0.919, 0.178], [0.837, 0.191, 0.403], [0.837, 0.309, 0.903], [0.848, 0.627, 0.928], [0.848, 0.873, 0.428], [0.856, 0.237, 0.185], [0.856, 0.263, 0.685], [0.860, 0.507, 0.226], [0.860, 0.993, 0.726], [0.882, 0.683, 0.561], [0.882, 0.817, 0.061], [0.985, 0.629, 0.439], [0.985, 0.871, 0.939]],
  "e_form_ev_per_atom": -1.62,
  "magnetic_moment_mub_per_cell": 12.0,
  "total_energy_ev_per_atom": -5.714
}

Record 5
{
  "formula": "Ba8U2PdSe16",
  "functional": "PBE",
  "state": "relaxed",
  "cell": [[9.621, 0.000, 0.000], [0.000, 12.420, 0.000], [0.000, 0.000, 14.071]],
  "species": ["Ba", "Ba", "Ba", "Ba", "Ba", "Ba", "Ba", "Ba", "Ba", "Ba", "Ba", "Ba", "Ba", "Ba", "Ba", "Ba", "U", "U", "U", "U", "Pd", "Pd", "Se", "Se", "Se", "Se", "Se", "Se", "Se", "Se", "Se", "Se", "Se", "Se", "Se", "Se", "Se", "Se", "Se", "Se", "Se", "Se", "Se", "Se", "Se", "Se", "Se", "Se", "Se", "Se", "Se", "Se", "Se", "Se"],
  "fractional_positions": [[0.109, 0.162, 0.245], [0.109, 0.162, 0.755], [0.209, 0.414, 0.000], [0.236, 0.842, 0.000], [0.264, 0.342, 0.500], [0.291, 0.914, 0.500], [0.391, 0.662, 0.255], [0.391, 0.662, 0.745], [0.609, 0.338, 0.255], [0.609, 0.338, 0.745], [0.709, 0.086, 0.500], [0.736, 0.658, 0.500], [0.764, 0.158, 0.000], [0.791, 0.586, 0.000], [0.891, 0.838, 0.245], [0.891, 0.838, 0.755], [0.000, 0.500, 0.256], [0.000, 0.500, 0.744], [0.500, 0.000, 0.244], [0.500, 0.000, 0.756], [0.000, 0.500, 0.500], [0.500, 0.000, 0.000], [0.042, 0.092, 0.500], [0.078, 0.650, 0.388], [0.078, 0.650, 0.612], [0.085, 0.073, 0.000], [0.086, 0.649, 0.126], [0.086, 0.649, 0.874], [0.231, 0.908, 0.249], [0.231, 0.908, 0.751], [0.269, 0.408, 0.251], [0.269, 0.408, 0.749], [0.414, 0.149, 0.374], [0.414, 0.149, 0.626], [0.415, 0.573, 0.500], [0.422, 0.150, 0.112], [0.422, 0.150, 0.888], [0.458, 0.592, 0.000], [0.542, 0.408, 0.000], [0.578, 0.850, 0.112], [0.578, 0.850, 0.888], [0.585, 0.427, 0.500], [0.586, 0.851, 0.374], [0.586, 0.851, 0.626], [0.731, 0.592, 0.251], [0.731, 0.592, 0.749], [0.769, 0.092, 0.249], [0.769, 0.092, 0.751], [0.914, 0.351, 0.126], [0.914, 0.351, 0.874], [0.915, 0.927, 0.000], [0.922, 0.350, 0.388], [0.922, 0.350, 0.612], [0.958, 0.908, 0.500]],
  "e_form_ev_per_atom": -1.83,
  "magnetic_moment_mub_per_cell": 4.2,
  "total_energy_ev_per_atom": -5.218
}

Record 6
{
  "formula": "RbSrMg14",
  "functional": "PBE",
  "state": "relaxed",
  "cell": [[6.890, 0.000, 0.000], [-3.445, 5.967, 0.000], [0.000, 0.000, 10.607]],
  "species": ["Rb", "Sr", "Mg", "Mg", "Mg", "Mg", "Mg", "Mg", "Mg", "Mg", "Mg", "Mg", "Mg", "Mg", "Mg", "Mg"],
  "fractional_positions": [[0.000, 0.000, 0.000], [0.000, 0.000, 0.500], [0.006, 0.503, 0.000], [0.010, 0.505, 0.500], [0.179, 0.359, 0.253], [0.179, 0.359, 0.747], [0.179, 0.821, 0.253], [0.179, 0.821, 0.747], [0.495, 0.505, 0.500], [0.495, 0.990, 0.500], [0.497, 0.503, 0.000], [0.497, 0.994, 0.000], [0.641, 0.821, 0.253], [0.641, 0.821, 0.747], [0.667, 0.333, 0.250], [0.667, 0.333, 0.750]],
  "e_form_ev_per_atom": 0.14,
  "magnetic_moment_mub_per_cell": 0.0,
  "total_energy_ev_per_atom": -1.424
}